1.
An optimized crystal structure of Rb4MgV2Cu2S8, computed with PBE.

Computed properties:
Mass density, g/cm3: 3.00
Offset from the most stable computed form, meV/atom: 13

Lattice parameters (Å, degrees): 5.615 7.411 12.414 88.49 77.68 69.13
Space group P1 (No. 1)
One atom of each set of equivalent atoms:
Rb  0.000  0.000  0.000 x1
Rb  0.068  0.593  0.734 x1
Rb  0.358  0.030  0.258 x1
Rb  0.755  0.541  0.449 x1
Mg  0.500  0.135  0.824 x1
V  0.185  0.059  0.604 x1
V  0.922  0.523  0.100 x1
Cu  0.428  0.529  0.097 x1
Cu  0.691  0.059  0.593 x1
S  0.025  0.706  0.205 x1
S  0.097  0.859  0.503 x1
S  0.307  0.320  0.995 x1
S  0.376  0.240  0.503 x1
S  0.448  0.890  0.720 x1
S  0.655  0.712  0.999 x1
S  0.723  0.349  0.200 x1
S  0.801  0.259  0.712 x1



2.
An optimized crystal structure of Rb4MgV2Cu2S8, computed with PBE.

Computed properties:
Mass density, g/cm3: 3.15
Offset from the most stable computed form, meV/atom: 0

Lattice parameters (Å, degrees): 5.685 23.647 7.215 90.00 112.21 90.00
Space group C2 (No. 5)
One atom of each set of equivalent atoms:
Rb  0.000  0.000  0.000 x2
Rb  0.000  0.128  0.500 x2
Rb  0.000  0.358  0.000 x2
Rb  0.000  0.756  0.500 x2
Mg  0.000  0.556  0.500 x2
V  0.000  0.178  0.000 x2
V  0.000  0.932  0.500 x2
Cu  0.000  0.430  0.500 x2
Cu  0.000  0.676  0.000 x2
S  0.138  0.880  0.309 x4
S  0.153  0.231  0.823 x4
S  0.170  0.624  0.794 x4
S  0.177  0.491  0.322 x4



3.
An optimized crystal structure of MgCu6S6, computed with PBE.

Computed properties:
Mass density, g/cm3: 4.51
Offset from the most stable computed form, meV/atom: 0

Lattice parameters (Å, degrees): 6.506 3.758 18.023 90.00 90.49 90.00
Space group Cm (No. 8)
One atom of each set of equivalent atoms:
Mg  0.000  0.000  0.000 x2
Cu  0.330  0.000  0.261 x2
Cu  0.331  0.000  0.606 x2
Cu  0.332  0.000  0.864 x2
Cu  0.494  0.500  0.150 x2
Cu  0.495  0.500  0.409 x2
Cu  0.496  0.500  0.750 x2
S  0.159  0.500  0.100 x2
S  0.162  0.500  0.449 x2
S  0.163  0.500  0.566 x2
S  0.168  0.500  0.914 x2
S  0.330  0.000  0.734 x2
S  0.497  0.500  0.281 x2



4.
An optimized crystal structure of MgCuS, computed with PBE.

Computed properties:
Mass density, g/cm3: 3.64

Lattice parameters (Å, degrees): 6.027 6.027 6.027 90.00 90.00 90.00
Space group F-43m (No. 216)
One atom of each set of equivalent atoms:
Mg  0.000  0.000  0.000 x4
Cu  0.250  0.250  0.750 x4
S  0.250  0.250  0.250 x4



5.
An optimized crystal structure of MgCu6S6, computed with PBE.

Computed properties:
Mass density, g/cm3: 4.27
Offset from the most stable computed form, meV/atom: 80

Lattice parameters (Å, degrees): 3.7800 3.7800 18.7768 90.00 90.00 120.00
Space group P3m1 (No. 156)
One atom of each set of equivalent atoms:
Mg  0.0000  0.0000  0.0000 x1
Cu  0.3333  0.6667  0.2036 x1
Cu  0.3333  0.6667  0.5529 x1
Cu  0.3333  0.6667  0.8690 x1
Cu  0.6667  0.3333  0.1234 x1
Cu  0.6667  0.3333  0.3932 x1
Cu  0.6667  0.3333  0.6454 x1
S  0.0000  0.0000  0.2378 x1
S  0.0000  0.0000  0.3557 x1
S  0.0000  0.0000  0.6789 x1
S  0.0000  0.0000  0.8740 x1
S  0.3333  0.6667  0.0680 x1
S  0.6667  0.3333  0.5131 x1



6.
An optimized crystal structure of MgCu6S6, computed with PBE.

Computed properties:
Mass density, g/cm3: 4.51
Offset from the most stable computed form, meV/atom: 0

Lattice parameters (Å, degrees): 3.744 3.763 18.000 90.60 90.52 119.82
Space group P1 (No. 1)
One atom of each set of equivalent atoms:
Mg  0.000  0.000  0.000 x1
Cu  0.021  0.022  0.591 x1
Cu  0.029  0.029  0.850 x1
Cu  0.039  0.064  0.251 x1
Cu  0.323  0.629  0.739 x1
Cu  0.337  0.667  0.137 x1
Cu  0.340  0.669  0.395 x1
S  0.372  0.729  0.266 x1
S  0.661  0.325  0.086 x1
S  0.676  0.338  0.434 x1
S  0.685  0.352  0.552 x1
S  0.700  0.367  0.901 x1
S  0.990  0.964  0.719 x1



7.
An optimized crystal structure of MgCu2S2, computed with PBE.

Computed properties:
Mass density, g/cm3: 4.04

Lattice parameters (Å, degrees): 3.8806 3.8806 20.3590 90.00 90.00 120.00
Space group R3m (No. 160, hexagonal axes)
One atom of each set of equivalent atoms:
Mg  0.0000  0.0000  0.0000 x3
Cu  0.0000  0.0000  0.2300 x3
Cu  0.0000  0.0000  0.7791 x3
S  0.0000  0.0000  0.1180 x3
S  0.0000  0.0000  0.6091 x3



8.
An optimized crystal structure of MgZnCu2SnS4, computed with PBE.

Computed properties:
Mass density, g/cm3: 4.21
Offset from the most stable computed form, meV/atom: 36

Lattice parameters (Å, degrees): 7.698 10.069 5.736 90.00 124.65 90.00
Space group C2 (No. 5)
One atom of each set of equivalent atoms:
Mg  0.000  0.000  0.000 x2
Zn  0.000  0.343  0.000 x2
Cu  0.000  0.051  0.500 x2
Cu  0.000  0.704  0.000 x2
Sn  0.000  0.635  0.500 x2
S  0.182  0.184  0.906 x4
S  0.231  0.440  0.478 x4



9.
An optimized crystal structure of MgZnCu2SnS4, computed with PBE.

Computed properties:
Mass density, g/cm3: 4.12
Offset from the most stable computed form, meV/atom: 50

Lattice parameters (Å, degrees): 5.805 6.362 10.123 90.00 90.00 90.00
Space group I222 (No. 23)
One atom of each set of equivalent atoms:
Mg  0.000  0.000  0.000 x2
Zn  0.000  0.500  0.500 x2
Cu  0.000  0.000  0.268 x4
Sn  0.000  0.500  0.000 x2
S  0.232  0.295  0.643 x8



10.
An optimized crystal structure of MgZnCu2SnS4, computed with PBE.

Computed properties:
Mass density, g/cm3: 4.02
Offset from the most stable computed form, meV/atom: 0

Lattice parameters (Å, degrees): 9.950 7.687 6.810 90.00 132.66 90.00
Space group Cm (No. 8)
One atom of each set of equivalent atoms:
Mg  0.000  0.000  0.000 x2
Zn  0.123  0.500  0.580 x2
Cu  0.297  0.280  0.292 x4
Sn  0.152  0.000  0.663 x2
S  0.279  0.500  0.056 x2
S  0.310  0.270  0.634 x4
S  0.317  0.000  0.184 x2



11.
An optimized crystal structure of MgTiCu4S4, computed with PBE.

Computed properties:
Mass density, g/cm3: 4.42
Offset from the most stable computed form, meV/atom: 8

Lattice parameters (Å, degrees): 5.519 5.519 11.226 90.00 90.00 90.00
Space group I-42m (No. 121)
One atom of each set of equivalent atoms:
Mg  0.000  0.000  0.000 x2
Ti  0.000  0.000  0.500 x2
Cu  0.000  0.000  0.248 x4
Cu  0.000  0.500  0.000 x4
S  0.246  0.246  0.631 x8



12.
An optimized crystal structure of MgTiCu4S4, computed with PBE.

Computed properties:
Mass density, g/cm3: 4.21
Offset from the most stable computed form, meV/atom: 0

Lattice parameters (Å, degrees): 8.181 7.992 6.444 90.00 121.75 90.00
Space group Cm (No. 8)
One atom of each set of equivalent atoms:
Mg  0.000  0.000  0.000 x2
Ti  0.100  0.500  0.747 x2
Cu  0.318  0.241  0.689 x4
Cu  0.330  0.500  0.236 x2
Cu  0.370  0.000  0.242 x2
S  0.162  0.231  0.919 x4
S  0.189  0.500  0.455 x2
S  0.224  0.000  0.468 x2



Number 1: final energy -0.350 Ry per atom. Number 2: final energy -0.351 Ry per atom. Number 3: final energy -0.312 Ry per atom. Number 4: final energy -0.248 Ry per atom. Number 5: final energy -0.306 Ry per atom. Number 6: final energy -0.312 Ry per atom. Number 7: final energy -0.305 Ry per atom. Number 8: final energy -0.290 Ry per atom. Number 9: final energy -0.289 Ry per atom. Number 10: final energy -0.293 Ry per atom. Number 11: final energy -0.341 Ry per atom. Number 12: final energy -0.342 Ry per atom.